(P)
First-principles (PBE with a Hubbard U) data for a relaxed Li2TiMn3O8 crystal, as listed in Materials Project.

Cell: 5.7341 5.7341 9.4724 Å, 90.00 90.00 120.00°
Sites, in units of the cell vectors:
1 Li 0.0000 0.0000 0.0000
2 Li 0.0000 0.0000 0.5000
3 Li 0.3333 0.6667 0.4020
4 Li 0.6667 0.3333 0.9020
5 Ti 0.3333 0.6667 0.9996
6 Ti 0.6667 0.3333 0.4996
7 Mn 0.1712 0.3423 0.7201
8 Mn 0.1712 0.8288 0.7201
9 Mn 0.3423 0.1712 0.2201
10 Mn 0.6577 0.8288 0.7201
11 Mn 0.8288 0.1712 0.2201
12 Mn 0.8288 0.6577 0.2201
13 O 0.0000 0.0000 0.3128
14 O 0.0000 0.0000 0.8128
15 O 0.0384 0.5192 0.8420
16 O 0.1657 0.3314 0.1034
17 O 0.1657 0.8343 0.1034
18 O 0.3314 0.1657 0.6034
19 O 0.3333 0.6667 0.6121
20 O 0.4808 0.5192 0.8420
21 O 0.4808 0.9616 0.8420
22 O 0.5192 0.0384 0.3420
23 O 0.5192 0.4808 0.3420
24 O 0.6667 0.3333 0.1121
25 O 0.6686 0.8343 0.1034
26 O 0.8343 0.1657 0.6034
27 O 0.8343 0.6686 0.6034
28 O 0.9616 0.4808 0.3420

Output
Calculated volume = 269.7 Å³ per cell
Magnetization = 22.0 μB/cell

***

(Q)
First-principles (PBE with a Hubbard U) data for a relaxed Li2TiMn3O8 crystal, as listed in Materials Project.

Cell: 5.7918 8.8666 10.4322 Å, 114.74 105.73 90.27°
Sites, in units of the cell vectors:
1 Li 0.0000 0.0000 0.0000
2 Li 0.0000 0.5000 0.5000
3 Li 0.1691 0.1689 0.8373
4 Li 0.3442 0.3336 0.6668
5 Li 0.6558 0.6664 0.3332
6 Li 0.8309 0.8311 0.1627
7 Ti 0.1623 0.1665 0.3334
8 Ti 0.5000 0.5000 0.0000
9 Ti 0.8377 0.8335 0.6666
10 Mn 0.0000 0.0000 0.5000
11 Mn 0.0000 0.5000 0.0000
12 Mn 0.1676 0.6704 0.8386
13 Mn 0.3319 0.8329 0.6666
14 Mn 0.3373 0.3379 0.1708
15 Mn 0.5000 0.0000 0.5000
16 Mn 0.6627 0.6621 0.8292
17 Mn 0.6681 0.1671 0.3334
18 Mn 0.8324 0.3296 0.1614
19 O 0.0045 0.7462 0.5231
20 O 0.0241 0.2559 0.0236
21 O 0.1469 0.9207 0.8109
22 O 0.1504 0.3842 0.3109
23 O 0.1754 0.9493 0.3544
24 O 0.1823 0.4220 0.8582
25 O 0.3188 0.0774 0.6424
26 O 0.3255 0.5488 0.1506
27 O 0.3387 0.5894 0.6917
28 O 0.3483 0.1269 0.1882
29 O 0.4926 0.2092 0.4798
30 O 0.4927 0.7175 0.9802
31 O 0.5073 0.2825 0.0198
32 O 0.5074 0.7908 0.5202
33 O 0.6517 0.8731 0.8118
34 O 0.6613 0.4106 0.3083
35 O 0.6745 0.4512 0.8494
36 O 0.6812 0.9226 0.3576
37 O 0.8177 0.5780 0.1418
38 O 0.8246 0.0507 0.6456
39 O 0.8496 0.6158 0.6891
40 O 0.8531 0.0793 0.1891
41 O 0.9759 0.7441 0.9764
42 O 0.9955 0.2538 0.4769

Output
Calculated volume = 464.1 Å³ per cell
Magnetization = 33.0 μB/cell

***

Which one sits at the top of the stability order? (Q) does.

***

(P)
First-principles (PBE with a Hubbard U) data for a relaxed Mn2O3F crystal, as listed in Materials Project.

Cell: 5.5236 4.5919 10.1817 Å, 90.00 96.87 90.00°
Sites, in units of the cell vectors:
1 Mn 0.0000 0.0000 0.0000
2 Mn 0.0000 0.5000 0.5000
3 Mn 0.2451 0.0221 0.7392
4 Mn 0.2451 0.4779 0.2392
5 Mn 0.5000 0.0000 0.5000
6 Mn 0.5000 0.5000 0.0000
7 Mn 0.7549 0.5221 0.7608
8 Mn 0.7549 0.9779 0.2608
9 O 0.0171 0.7034 0.6756
10 O 0.0171 0.7966 0.1756
11 O 0.2233 0.1942 0.5722
12 O 0.2233 0.3058 0.0722
13 O 0.4910 0.1987 0.3288
14 O 0.4910 0.3013 0.8288
15 O 0.5090 0.6987 0.1712
16 O 0.5090 0.8013 0.6712
17 O 0.7767 0.6942 0.9278
18 O 0.7767 0.8058 0.4278
19 O 0.9829 0.2034 0.8244
20 O 0.9829 0.2966 0.3244
21 F 0.2806 0.6834 0.4099
22 F 0.2806 0.8166 0.9099
23 F 0.7194 0.1834 0.0901
24 F 0.7194 0.3166 0.5901

Output
Calculated volume = 256.4 Å³ per cell
Magnetization = 28.0 μB/cell

***

(Q)
First-principles (PBE with a Hubbard U) data for a relaxed Mn2O3F crystal, as listed in Materials Project.

Cell: 5.4388 5.4388 5.4388 Å, 113.53 109.39 105.59°
Sites, in units of the cell vectors:
1 Mn 0.0000 0.0000 0.5000
2 Mn 0.0000 0.5000 0.0000
3 Mn 0.4735 0.2235 0.2500
4 Mn 0.5265 0.7765 0.7500
5 O 0.1894 0.9394 0.2500
6 O 0.3071 0.0000 0.8071
7 O 0.3071 0.5000 0.3071
8 O 0.6929 0.0000 0.1929
9 O 0.6929 0.5000 0.6929
10 O 0.8106 0.0606 0.7500
11 F 0.2294 0.4794 0.7500
12 F 0.7706 0.5206 0.2500

Output
Calculated volume = 123.3 Å³ per cell
Magnetization = 14.0 μB/cell

***

Which one sits at the top of the stability order? (Q) does.

***

(P)
First-principles (PBE with a Hubbard U) data for a relaxed Co6OF11 crystal, as listed in Materials Project.

Cell: 5.6987 5.6987 7.4645 Å, 107.17 107.17 71.46°
Sites, in units of the cell vectors:
1 Co 0.0000 0.0000 0.0000
2 Co 0.3064 0.3578 0.3337
3 Co 0.3095 0.3731 0.8422
4 Co 0.6269 0.6905 0.1578
5 Co 0.6422 0.6936 0.6663
6 Co 0.9759 0.0241 0.5000
7 O 0.2911 0.7089 0.0000
8 F 0.0766 0.1246 0.2996
9 F 0.2099 0.2511 0.0353
10 F 0.3406 0.0038 0.6710
11 F 0.4137 0.4567 0.6306
12 F 0.5433 0.5863 0.3694
13 F 0.6099 0.0484 0.3305
14 F 0.6881 0.3119 0.0000
15 F 0.7489 0.7901 0.9647
16 F 0.8754 0.9234 0.7004
17 F 0.9516 0.3901 0.6695
18 F 0.9962 0.6594 0.3290

Output
Calculated volume = 214.1 Å³ per cell
Magnetization = 19.0 μB/cell

***

(Q)
First-principles (PBE with a Hubbard U) data for a relaxed Co6OF11 crystal, as listed in Materials Project.

Cell: 4.7507 5.7057 7.8969 Å, 86.74 89.60 89.53°
Sites, in units of the cell vectors:
1 Co 0.0000 0.0000 0.0000
2 Co 0.0021 0.6919 0.3057
3 Co 0.0165 0.3381 0.6446
4 Co 0.5091 0.8413 0.6498
5 Co 0.5165 0.5019 0.9792
6 Co 0.5312 0.1611 0.3087
7 O 0.8040 0.9768 0.2180
8 F 0.2033 0.0393 0.7576
9 F 0.2130 0.3787 0.4088
10 F 0.2181 0.7028 0.0795
11 F 0.3104 0.8771 0.4178
12 F 0.3137 0.2074 0.0818
13 F 0.3157 0.5401 0.7478
14 F 0.7035 0.1419 0.5506
15 F 0.7118 0.4722 0.2119
16 F 0.7143 0.8009 0.8800
17 F 0.8154 0.6411 0.5446
18 F 0.8174 0.3009 0.8814

Output
Calculated volume = 213.7 Å³ per cell
Magnetization = 19.0 μB/cell

***

Which one sits at the top of the stability order? (P) does.

***

(P)
First-principles (PBE with a Hubbard U) data for a relaxed LiV2P3O12 crystal, as listed in Materials Project.

Cell: 8.5368 8.5707 14.8151 Å, 90.00 125.04 90.00°
Sites, in units of the cell vectors:
1 Li 0.2280 0.0887 0.2969
2 Li 0.2280 0.4113 0.7969
3 Li 0.7720 0.5887 0.2031
4 Li 0.7720 0.9113 0.7031
5 V 0.1429 0.5324 0.3888
6 V 0.1429 0.9676 0.8888
7 V 0.3590 0.5312 0.1166
8 V 0.3590 0.9688 0.6166
9 V 0.6410 0.0312 0.3834
10 V 0.6410 0.4688 0.8834
11 V 0.8571 0.0324 0.1112
12 V 0.8571 0.4676 0.6112
13 P 0.0357 0.1090 0.6462
14 P 0.0357 0.3910 0.1462
15 P 0.2518 0.6090 0.6445
16 P 0.2518 0.8910 0.1445
17 P 0.4714 0.2476 0.5054
18 P 0.4714 0.2524 0.0054
19 P 0.5286 0.7476 0.9946
20 P 0.5286 0.7524 0.4946
21 P 0.7482 0.1090 0.8555
22 P 0.7482 0.3910 0.3555
23 P 0.9643 0.6090 0.8538
24 P 0.9643 0.8910 0.3538
25 O 0.0127 0.0073 0.7248
26 O 0.0127 0.4927 0.2248
27 O 0.0358 0.2135 0.1693
28 O 0.0358 0.2865 0.6693
29 O 0.0570 0.6031 0.6309
30 O 0.0570 0.8969 0.1309
31 O 0.1268 0.5696 0.9724
32 O 0.1268 0.9304 0.4724
33 O 0.2318 0.5545 0.5402
34 O 0.2318 0.9455 0.0402
35 O 0.2343 0.0776 0.6705
36 O 0.2343 0.4224 0.1705
37 O 0.3151 0.1373 0.9242
38 O 0.3151 0.3627 0.4242
39 O 0.3321 0.7228 0.1719
40 O 0.3321 0.7772 0.6719
41 O 0.3336 0.6757 0.4082
42 O 0.3336 0.8243 0.9082
43 O 0.3852 0.0019 0.2416
44 O 0.3852 0.4981 0.7416
45 O 0.4016 0.1600 0.5670
46 O 0.4016 0.3400 0.0670
47 O 0.4859 0.1331 0.4298
48 O 0.4859 0.3669 0.9298
49 O 0.5141 0.6331 0.0702
50 O 0.5141 0.8669 0.5702
51 O 0.5984 0.6600 0.9330
52 O 0.5984 0.8400 0.4330
53 O 0.6148 0.5019 0.2584
54 O 0.6148 0.9981 0.7584
55 O 0.6664 0.1757 0.0918
56 O 0.6664 0.3243 0.5918
57 O 0.6679 0.2228 0.3281
58 O 0.6679 0.2772 0.8281
59 O 0.6849 0.6373 0.5758
60 O 0.6849 0.8627 0.0758
61 O 0.7657 0.5776 0.8295
62 O 0.7657 0.9224 0.3295
63 O 0.7682 0.0545 0.9598
64 O 0.7682 0.4455 0.4598
65 O 0.8732 0.0696 0.5276
66 O 0.8732 0.4304 0.0276
67 O 0.9430 0.1031 0.8691
68 O 0.9430 0.3969 0.3691
69 O 0.9642 0.7135 0.3307
70 O 0.9642 0.7865 0.8307
71 O 0.9873 0.5073 0.7752
72 O 0.9873 0.9927 0.2752

Output
Calculated volume = 887.5 Å³ per cell
Magnetization = 8.0 μB/cell

***

(Q)
First-principles (PBE with a Hubbard U) data for a relaxed LiV2P3O12 crystal, as listed in Materials Project.

Cell: 8.7436 8.8673 12.1746 Å, 90.00 90.00 90.00°
Sites, in units of the cell vectors:
1 Li 0.1803 0.1863 0.2500
2 Li 0.1803 0.3137 0.7500
3 Li 0.8197 0.6863 0.2500
4 Li 0.8197 0.8137 0.7500
5 V 0.2463 0.5240 0.1044
6 V 0.2463 0.5240 0.3956
7 V 0.2463 0.9760 0.6044
8 V 0.2463 0.9760 0.8956
9 V 0.7537 0.0240 0.1044
10 V 0.7537 0.0240 0.3956
11 V 0.7537 0.4760 0.6044
12 V 0.7537 0.4760 0.8956
13 P 0.0296 0.2500 0.0000
14 P 0.0296 0.2500 0.5000
15 P 0.3984 0.6269 0.6291
16 P 0.3984 0.6269 0.8709
17 P 0.3984 0.8731 0.1291
18 P 0.3984 0.8731 0.3709
19 P 0.6016 0.1269 0.6291
20 P 0.6016 0.1269 0.8709
21 P 0.6016 0.3731 0.1291
22 P 0.6016 0.3731 0.3709
23 P 0.9704 0.7500 0.0000
24 P 0.9704 0.7500 0.5000
25 O 0.0647 0.6430 0.0733
26 O 0.0647 0.6430 0.4267
27 O 0.0647 0.8570 0.5733
28 O 0.0647 0.8570 0.9267
29 O 0.1304 0.1655 0.5854
30 O 0.1304 0.1655 0.9146
31 O 0.1304 0.3345 0.0854
32 O 0.1304 0.3345 0.4146
33 O 0.2113 0.5154 0.2500
34 O 0.2113 0.9846 0.7500
35 O 0.2939 0.5307 0.5580
36 O 0.2939 0.5307 0.9420
37 O 0.2939 0.9693 0.0580
38 O 0.2939 0.9693 0.4420
39 O 0.3441 0.5668 0.7500
40 O 0.3441 0.9332 0.2500
41 O 0.3717 0.7044 0.1225
42 O 0.3717 0.7044 0.3775
43 O 0.3717 0.7956 0.6225
44 O 0.3717 0.7956 0.8775
45 O 0.4305 0.1007 0.6193
46 O 0.4305 0.1007 0.8807
47 O 0.4305 0.3993 0.1193
48 O 0.4305 0.3993 0.3807
49 O 0.5695 0.6007 0.6193
50 O 0.5695 0.6007 0.8807
51 O 0.5695 0.8993 0.1193
52 O 0.5695 0.8993 0.3807
53 O 0.6283 0.2044 0.1225
54 O 0.6283 0.2044 0.3775
55 O 0.6283 0.2956 0.6225
56 O 0.6283 0.2956 0.8775
57 O 0.6559 0.0668 0.7500
58 O 0.6559 0.4332 0.2500
59 O 0.7061 0.0307 0.5580
60 O 0.7061 0.0307 0.9420
61 O 0.7061 0.4693 0.0580
62 O 0.7061 0.4693 0.4420
63 O 0.7887 0.0154 0.2500
64 O 0.7887 0.4846 0.7500
65 O 0.8696 0.6655 0.5854
66 O 0.8696 0.6655 0.9146
67 O 0.8696 0.8345 0.0854
68 O 0.8696 0.8345 0.4146
69 O 0.9353 0.1430 0.0733
70 O 0.9353 0.1430 0.4267
71 O 0.9353 0.3570 0.5733
72 O 0.9353 0.3570 0.9267

Output
Calculated volume = 943.9 Å³ per cell
Magnetization = 8.0 μB/cell

***

Which one sits at the top of the stability order? (P) does.

***

(P)
First-principles (PBE with a Hubbard U) data for a relaxed LiV2P3O12 crystal, as listed in Materials Project.

Cell: 8.6668 8.6668 6.3328 Å, 106.23 106.23 92.18°
Sites, in units of the cell vectors:
1 Li 0.0000 0.0000 0.0000
2 Li 0.0000 0.0000 0.5000
3 V 0.1247 0.4407 0.8640
4 V 0.4407 0.1247 0.3640
5 V 0.5593 0.8753 0.6360
6 V 0.8753 0.5593 0.1360
7 P 0.1443 0.3365 0.3497
8 P 0.2207 0.7793 0.2500
9 P 0.3365 0.1443 0.8497
10 P 0.6635 0.8557 0.1503
11 P 0.7793 0.2207 0.7500
12 P 0.8557 0.6635 0.6503
13 O 0.0340 0.1821 0.2694
14 O 0.0474 0.7503 0.2676
15 O 0.0956 0.4398 0.1756
16 O 0.1372 0.4527 0.5844
17 O 0.1821 0.0340 0.7694
18 O 0.2354 0.6487 0.0328
19 O 0.2497 0.9526 0.2324
20 O 0.3044 0.3252 0.8876
21 O 0.3252 0.3044 0.3876
22 O 0.3513 0.7646 0.4672
23 O 0.4398 0.0956 0.6756
24 O 0.4527 0.1372 0.0844
25 O 0.5473 0.8628 0.9156
26 O 0.5602 0.9044 0.3244
27 O 0.6487 0.2354 0.5328
28 O 0.6748 0.6956 0.6124
29 O 0.6956 0.6748 0.1124
30 O 0.7503 0.0474 0.7676
31 O 0.7646 0.3513 0.9672
32 O 0.8179 0.9660 0.2306
33 O 0.8628 0.5473 0.4156
34 O 0.9044 0.5602 0.8244
35 O 0.9526 0.2497 0.7324
36 O 0.9660 0.8179 0.7306

Output
Calculated volume = 435.0 Å³ per cell
Magnetization = 4.0 μB/cell

***

(Q)
First-principles (PBE with a Hubbard U) data for a relaxed LiV2P3O12 crystal, as listed in Materials Project.

Cell: 8.5258 8.5258 8.5258 Å, 60.49 60.49 60.49°
Sites, in units of the cell vectors:
1 Li 0.0000 0.0000 0.0000
2 Li 0.5000 0.5000 0.5000
3 V 0.1408 0.1408 0.1408
4 V 0.3592 0.3592 0.3592
5 V 0.6408 0.6408 0.6408
6 V 0.8592 0.8592 0.8592
7 P 0.0399 0.7500 0.4601
8 P 0.2500 0.5399 0.9601
9 P 0.4601 0.0399 0.7500
10 P 0.5399 0.9601 0.2500
11 P 0.7500 0.4601 0.0399
12 P 0.9601 0.2500 0.5399
13 O 0.0018 0.1916 0.3759
14 O 0.0561 0.9151 0.2679
15 O 0.0849 0.7321 0.9439
16 O 0.1241 0.3084 0.4982
17 O 0.1916 0.3759 0.0018
18 O 0.2321 0.5849 0.4439
19 O 0.2679 0.0561 0.9151
20 O 0.3084 0.4982 0.1241
21 O 0.3759 0.0018 0.1916
22 O 0.4151 0.5561 0.7679
23 O 0.4439 0.2321 0.5849
24 O 0.4982 0.1241 0.3084
25 O 0.5018 0.8759 0.6916
26 O 0.5561 0.7679 0.4151
27 O 0.5849 0.4439 0.2321
28 O 0.6241 0.9982 0.8084
29 O 0.6916 0.5018 0.8759
30 O 0.7321 0.9439 0.0849
31 O 0.7679 0.4151 0.5561
32 O 0.8084 0.6240 0.9982
33 O 0.8759 0.6916 0.5018
34 O 0.9151 0.2679 0.0561
35 O 0.9439 0.0849 0.7321
36 O 0.9982 0.8084 0.6241

Output
Calculated volume = 443.1 Å³ per cell
Magnetization = 4.0 μB/cell

***

Which one sits at the top of the stability order? (Q) does.